{
  "formula": "DyTmIn2",
  "functional": "r2SCAN",
  "state": "relaxed",
  "lattice": [[1.581, 2.807, 4.152], [0.068, 5.248, -0.249], [-3.485, 2.806, 2.755]],
  "species": ["Dy", "Tm", "In", "In"],
  "frac_coords": [[0.500, 0.500, 0.500], [0.000, 0.000, 0.000], [0.250, 0.250, 0.250], [0.750, 0.750, 0.750]],
  "total_magnetization_mub_per_fu": 0.00,
  "formation_enthalpy_0k_ev_per_atom": -0.5674,
  "e_tot_ev_per_atom": -28.632,
  "sg": "Fm-3m (225)"
}